DFT (PBE with a Hubbard U) results for a relaxed structure of Na5Fe2P2C2O14.

Structure (CIF):
```
data_Na5Fe2P2C2O14
_symmetry_space_group_name_H-M 'P 1'
_symmetry_Int_Tables_number 1
_symmetry_space_group_name_Hall 'P 1'
_cell_length_a 10.4118
_cell_length_b 6.6287
_cell_length_c 10.4630
_cell_angle_alpha 90.00
_cell_angle_beta 119.63
_cell_angle_gamma 90.00
loop_
_atom_site_label
_atom_site_fract_x
_atom_site_fract_y
_atom_site_fract_z
Na1 0.0063 0.0000 0.2417
Na2 0.1518 0.7619 0.5739
Na3 0.3317 0.2546 0.9174
Na4 0.4929 0.0140 0.2563
Na5 0.4933 0.5122 0.2558
Na6 0.5067 0.0122 0.7442
Na7 0.5071 0.5140 0.7437
Na8 0.6683 0.7546 0.0826
Na9 0.8482 0.2619 0.4261
Na10 0.9937 0.5000 0.7583
Fe1 0.2056 0.7685 0.0575
Fe2 0.2782 0.2728 0.4304
Fe3 0.7218 0.7728 0.5696
Fe4 0.7944 0.2685 0.9425
P1 0.1480 0.2654 0.0674
P2 0.3603 0.7645 0.4407
P3 0.6397 0.2645 0.5593
P4 0.8520 0.7654 0.9326
C1 0.1717 0.2638 0.6034
C2 0.3391 0.7572 0.8966
C3 0.6609 0.2572 0.1034
C4 0.8283 0.7638 0.3966
O1 0.0152 0.7760 0.0595
O2 0.0919 0.2488 0.4605
O3 0.1122 0.2816 0.6842
O4 0.1468 0.2561 0.2144
O5 0.1966 0.7437 0.8416
O6 0.2307 0.0779 0.0521
O7 0.2337 0.4522 0.0568
O8 0.2771 0.9515 0.4539
O9 0.2867 0.5751 0.4657
O10 0.3158 0.2616 0.6592
O11 0.3566 0.7604 0.2912
O12 0.3976 0.7626 0.8134
O13 0.4204 0.7670 0.0396
O14 0.4756 0.2701 0.4301
O15 0.5244 0.7701 0.5699
O16 0.5796 0.2670 0.9604
O17 0.6024 0.2626 0.1866
O18 0.6434 0.2604 0.7088
O19 0.6842 0.7616 0.3408
O20 0.7133 0.0751 0.5343
O21 0.7229 0.4515 0.5461
O22 0.7663 0.9522 0.9432
O23 0.7693 0.5779 0.9479
O24 0.8034 0.2437 0.1584
O25 0.8532 0.7561 0.7856
O26 0.8878 0.7816 0.3158
O27 0.9081 0.7488 0.5395
O28 0.9848 0.2760 0.9405
```

***

DFT (PBE with a Hubbard U) results for a relaxed structure of Na2FePCO7.

Structure (CIF):
```
data_Na2FePCO7
_symmetry_space_group_name_H-M 'P 1'
_symmetry_Int_Tables_number 1
_symmetry_space_group_name_Hall 'P 1'
_cell_length_a 6.5478
_cell_length_b 10.3537
_cell_length_c 10.3984
_cell_angle_alpha 60.64
_cell_angle_beta 89.48
_cell_angle_gamma 89.27
loop_
_atom_site_label
_atom_site_fract_x
_atom_site_fract_y
_atom_site_fract_z
Na1 0.0000 0.0000 0.0000
Na2 0.9996 0.4998 0.4998
Na3 0.0233 0.4881 0.9852
Na4 0.2694 0.8342 0.8213
Na5 0.2720 0.3354 0.3204
Na6 0.4962 0.9887 0.4845
Na7 0.7335 0.6520 0.1649
Na8 0.7516 0.1523 0.6659
Fe1 0.2749 0.2740 0.8087
Fe2 0.2748 0.7741 0.3087
Fe3 0.7562 0.2127 0.1782
Fe4 0.7643 0.7124 0.6784
P1 0.2587 0.1357 0.1769
P2 0.2612 0.6359 0.6767
P3 0.7637 0.3507 0.8102
P4 0.7651 0.8508 0.3101
C1 0.2488 0.6608 0.1410
C2 0.2571 0.1608 0.6409
C3 0.7613 0.8266 0.8462
C4 0.7661 0.3264 0.3464
O1 0.0723 0.7106 0.7065
O2 0.0727 0.2219 0.1926
O3 0.2443 0.6039 0.0569
O4 0.2506 0.6446 0.5244
O5 0.2528 0.0793 0.7855
O6 0.2537 0.3043 0.5902
O7 0.2542 0.8042 0.0901
O8 0.2546 0.5795 0.2856
O9 0.2566 0.1439 0.0245
O10 0.2588 0.9695 0.2984
O11 0.2611 0.4695 0.7980
O12 0.2687 0.1042 0.5566
O13 0.4495 0.2081 0.2024
O14 0.4490 0.7193 0.6886
O15 0.5754 0.2748 0.7886
O16 0.5762 0.7758 0.2863
O17 0.7387 0.9072 0.7022
O18 0.7451 0.1838 0.3966
O19 0.7553 0.8432 0.4623
O20 0.7650 0.3434 0.9623
O21 0.7665 0.6829 0.8968
O22 0.7739 0.4074 0.2016
O23 0.7736 0.5169 0.6885
O24 0.7749 0.0170 0.1885
O25 0.7765 0.3823 0.4306
O26 0.7766 0.8837 0.9291
O27 0.9512 0.2673 0.7914
O28 0.9523 0.7668 0.2933
```

***

# PBE with a Hubbard U Na5Fe2P2C2O14, optimized geometry
# * maximum piezoelectric response: 0.17 C/m²
data_Na5Fe2P2C2O14
_symmetry_space_group_name_H-M 'P 1'
_symmetry_Int_Tables_number 1
_symmetry_space_group_name_Hall 'P 1'
_cell_length_a 5.2433
_cell_length_b 11.2122
_cell_length_c 11.2126
_cell_angle_alpha 107.31
_cell_angle_beta 89.33
_cell_angle_gamma 90.67
loop_
_atom_site_label
_atom_site_fract_x
_atom_site_fract_y
_atom_site_fract_z
O1 0.2112 0.4423 0.1199
Na1 0.7515 0.8766 0.6266
O2 0.8567 0.3374 0.9126
O3 0.0424 0.6949 0.5551
P1 0.7157 0.9136 0.3364
Na2 0.2436 0.6240 0.8708
Na3 0.2433 0.1240 0.3708
O4 0.1730 0.1601 0.5899
O5 0.5221 0.8013 0.9487
O6 0.7832 0.5528 0.8868
Na4 0.7516 0.3766 0.1266
O7 0.2112 0.1301 0.8077
P2 0.2973 0.5835 0.1665
Na5 0.2369 0.4137 0.3362
Na6 0.2435 0.3792 0.6260
O8 0.4589 0.7112 0.5388
O9 0.7833 0.8633 0.1973
O10 0.2109 0.6300 0.3077
Fe1 0.7802 0.6970 0.0530
O11 0.7832 0.3632 0.6972
O12 0.2109 0.9423 0.6200
O13 0.2947 0.5936 0.6564
Fe2 0.2157 0.3014 0.9486
O14 0.0431 0.1949 0.0551
Na7 0.7516 0.1234 0.8734
O15 0.9492 0.3119 0.4381
Fe3 0.2152 0.8014 0.4486
C1 0.7264 0.3431 0.4069
O16 0.8562 0.8373 0.4127
O17 0.2948 0.0936 0.1564
C2 0.2657 0.6626 0.5874
O18 0.5930 0.5903 0.1598
O19 0.7834 0.0528 0.3868
O20 0.1730 0.6601 0.0899
Na8 0.2369 0.9137 0.8363
O21 0.7081 0.4144 0.3356
Na9 0.2432 0.8792 0.1259
P3 0.2973 0.0835 0.6665
C3 0.7264 0.8431 0.9069
O22 0.4196 0.8945 0.3555
O23 0.5221 0.3013 0.4487
O24 0.4197 0.3945 0.8555
Na10 0.7515 0.6234 0.3734
O25 0.7081 0.9144 0.8356
Fe4 0.7802 0.1971 0.5530
P4 0.7158 0.4136 0.8365
O26 0.5930 0.0902 0.6598
C4 0.2663 0.1626 0.0874
O27 0.4600 0.2112 0.0388
O28 0.9492 0.8119 0.9381

***

| no. | raw total energy (eV/f.u.) | polymorph energy (0 for the lowest one) (meV/atom) |
| --- | --- | --- |
| 1 | -164.2 | 14.8 |
| 2 | -80.2 | 14.1 |
| 3 | -164.6 | 0.0 |